No. 1
A relaxed CaMn2O4 crystal, computed with GGA+U.

Results
Energy above the most stable polymorph in this dataset = 0.0 meV per atom
DFT total energy = -7.310 eV per atom

Cell: 3.2050 10.1961 9.8094 Å, 90.00 90.00 90.00°
Fractional positions:
Ca: 0.1785 0.1491 0.2500
Ca: 0.1785 0.3509 0.7500
Ca: 0.8215 0.6491 0.2500
Ca: 0.8215 0.8509 0.7500
Mn: 0.2963 0.6119 0.5687
Mn: 0.2963 0.6119 0.9313
Mn: 0.2963 0.8881 0.0687
Mn: 0.2963 0.8881 0.4313
Mn: 0.7037 0.1119 0.5687
Mn: 0.7037 0.1119 0.9313
Mn: 0.7037 0.3881 0.0687
Mn: 0.7037 0.3881 0.4313
O: 0.0898 0.2500 0.0000
O: 0.0898 0.2500 0.5000
O: 0.2992 0.5274 0.1084
O: 0.2992 0.5274 0.3916
O: 0.2992 0.9726 0.6084
O: 0.2992 0.9726 0.8916
O: 0.3143 0.6866 0.7500
O: 0.3143 0.8134 0.2500
O: 0.6857 0.1866 0.7500
O: 0.6857 0.3134 0.2500
O: 0.7008 0.0274 0.1084
O: 0.7008 0.0274 0.3916
O: 0.7008 0.4726 0.6084
O: 0.7008 0.4726 0.8916
O: 0.9102 0.7500 0.0000
O: 0.9102 0.7500 0.5000

=====

No. 2
A relaxed Ca3MnO4 crystal, computed with GGA+U.

Results
Total moment = 0.00 μB/cell
Energy above the most stable polymorph in this dataset = 2.9 meV per atom
DFT total energy = -6.773 eV per atom

Cell: 5.8165 6.7424 11.6270 Å, 73.15 99.50 90.00°
Fractional positions:
O: 0.1293 0.8118 0.3764
O: 0.8785 0.6892 0.1215
O: 0.3785 0.9392 0.6215
O: 0.3785 0.4392 0.6215
O: 0.6215 0.0608 0.3785
O: 0.1293 0.3118 0.3764
O: 0.6293 0.0618 0.8764
O: 0.1215 0.3108 0.8785
O: 0.1215 0.8108 0.8785
O: 0.8707 0.6882 0.6236
O: 0.6215 0.5608 0.3785
O: 0.6293 0.5618 0.8764
O: 0.8785 0.1892 0.1215
O: 0.3707 0.4382 0.1236
O: 0.3707 0.9382 0.1236
O: 0.8707 0.1882 0.6236
Ca: 0.2500 0.1250 0.2500
Ca: 0.5000 0.7500 0.0000
Ca: 0.7500 0.3750 0.7500
Ca: 0.2500 0.1250 0.7500
Ca: 0.7500 0.8750 0.7500
Ca: 0.0000 0.5000 0.5000
Ca: 0.0000 0.0000 0.5000
Ca: 0.5000 0.2500 0.0000
Ca: 0.2500 0.6250 0.7500
Ca: 0.2500 0.6250 0.2500
Ca: 0.7500 0.3750 0.2500
Ca: 0.7500 0.8750 0.2500
Mn: 0.0000 0.0000 0.0000
Mn: 0.5000 0.2500 0.5000
Mn: 0.5000 0.7500 0.5000
Mn: 0.0000 0.5000 0.0000

=====

No. 3
A relaxed Ca5Mn8O13 crystal, computed with GGA+U.

Results
Total moment = 40.00 μB/cell
DFT total energy = -7.273 eV per atom

Cell: 34.5520 34.5520 34.5520 Å, 5.46 5.46 5.46°
Fractional positions:
Ca: 0.0000 0.0000 0.0000
Ca: 0.0763 0.0763 0.0763
Ca: 0.1548 0.1548 0.1548
Ca: 0.4608 0.4608 0.4608
Ca: 0.8490 0.8490 0.8490
Mn: 0.2326 0.2326 0.2326
Mn: 0.3071 0.3071 0.3071
Mn: 0.3839 0.3839 0.3839
Mn: 0.5414 0.5414 0.5414
Mn: 0.6155 0.6155 0.6155
Mn: 0.6927 0.6927 0.6927
Mn: 0.7685 0.7685 0.7685
Mn: 0.9240 0.9240 0.9240
O: 0.0384 0.0384 0.0384
O: 0.1140 0.1140 0.1140
O: 0.1958 0.1958 0.1958
O: 0.2697 0.2697 0.2697
O: 0.3470 0.3470 0.3470
O: 0.4231 0.4231 0.4231
O: 0.5019 0.5019 0.5019
O: 0.5782 0.5782 0.5782
O: 0.6529 0.6529 0.6529
O: 0.7295 0.7295 0.7295
O: 0.8078 0.8078 0.8078
O: 0.8870 0.8870 0.8870
O: 0.9613 0.9613 0.9613

=====

Question: Among the records above, which one has the lowest DFT total energy?
Answer: CaMn2O4